Crystalline ThSi2Os2 at its relaxed geometry. Source: the Materials Project, functional PBE.

Cell and atoms, written as POSCAR:
```
ThSi2Os2
1.0
-2.1168 2.1168 4.9045
2.1168 -2.1168 4.9045
2.1168 2.1168 -4.9045
Si Th Os
2 1 2
direct
0.3696 0.3696 0.0000 Si
0.6304 0.6304 0.0000 Si
0.0000 0.0000 0.0000 Th
0.7500 0.2500 0.5000 Os
0.2500 0.7500 0.5000 Os
```

Its space group is I4/mmm (139). The crystal system is tetragonal. For the formation energy, the calculation gives -375 kJ/mol of formula units. The energy comes out at -44.607 eV/cell.



Crystalline NaSmGeO4 at its relaxed geometry. Source: the Materials Project, functional PBE.

Cell and atoms, written as POSCAR:
```
NaSmGeO4
1.0
-2.9855 -4.4347 0.4224
3.4764 -2.8102 -4.9322
7.5763 -4.3555 7.8217
O Sm Ge Na
16 4 4 4
direct
0.8191 0.2500 0.0442 O
0.7653 0.7500 0.6087 O
0.2909 0.9544 0.6708 O
0.7909 0.0456 0.8292 O
0.7347 0.7500 0.1087 O
0.3191 0.7500 0.4558 O
0.7091 0.4544 0.3292 O
0.1809 0.7500 0.9558 O
0.2909 0.5456 0.6708 O
0.2091 0.5456 0.1708 O
0.6809 0.2500 0.5442 O
0.2091 0.9544 0.1708 O
0.7909 0.4544 0.8292 O
0.2653 0.2500 0.8913 O
0.2347 0.2500 0.3913 O
0.7091 0.0456 0.3292 O
0.9999 0.7500 0.7788 Sm
0.0001 0.2500 0.2212 Sm
0.5001 0.7500 0.2788 Sm
0.4999 0.2500 0.7212 Sm
0.4407 0.7500 0.5955 Ge
0.5593 0.2500 0.4045 Ge
0.9407 0.2500 0.9045 Ge
0.0593 0.7500 0.0955 Ge
0.5000 0.0000 0.0000 Na
0.0000 0.5000 0.5000 Na
0.5000 0.5000 0.0000 Na
0.0000 0.0000 0.5000 Na
```

Its space group is Pnma (62). The crystal system is orthorhombic. For the formation energy, the calculation gives -1913 kJ/mol of formula units. The energy comes out at -190.145 eV/cell.



Crystalline Al3GaN4 at its relaxed geometry. Source: the Materials Project, functional PBE.

Cell and atoms, written as POSCAR:
```
Al3GaN4
1.0
3.1486 0.0000 0.0000
0.0000 5.0777 0.0000
0.0000 0.0032 5.4516
Al N Ga
3 4 1
direct
0.5000 0.4998 0.8327 Al
0.5000 0.0009 0.1649 Al
0.0000 0.0007 0.6686 Al
0.5000 0.6259 0.1589 N
0.0000 0.6233 0.6746 N
0.5000 0.1226 0.8328 N
0.0000 0.1105 0.3338 N
0.0000 0.4999 0.3337 Ga
```

Its space group is Pm (6). The crystal system is monoclinic. For the formation energy, the calculation gives -1040 kJ/mol of formula units. The energy comes out at -56.946 eV/cell.



Crystalline SrLaMgTaO6 at its relaxed geometry. Source: the Materials Project, functional PBE.

Cell and atoms, written as POSCAR:
```
SrLaMgTaO6
1.0
-5.5845 0.2543 1.1813
-1.0890 -3.4048 -4.4150
-0.3723 -9.8279 0.3557
Ta O Sr Mg La
2 12 2 2 2
direct
0.7479 0.5007 0.4990 Ta
0.2521 0.5007 0.9990 Ta
0.5298 0.3393 0.9544 O
0.0140 0.6793 0.5440 O
0.2644 0.1655 0.2424 O
0.7356 0.1655 0.7424 O
0.2288 0.8122 0.7575 O
0.9860 0.6793 0.0440 O
0.4702 0.3393 0.4544 O
0.9734 0.2749 0.4615 O
0.7712 0.8122 0.2575 O
0.0266 0.2749 0.9615 O
0.4601 0.7323 0.0451 O
0.5399 0.7323 0.5451 O
0.7273 0.2562 0.2494 Sr
0.2727 0.2562 0.7494 Sr
0.2525 0.9993 0.4998 Mg
0.7475 0.9993 0.9998 Mg
0.7844 0.7403 0.7470 La
0.2156 0.7403 0.2470 La
```

Its space group is Pc (7). The crystal system is monoclinic. For the formation energy, the calculation gives -3410 kJ/mol of formula units. The energy comes out at -161.986 eV/cell.



Crystalline EuSi2 at its relaxed geometry. Source: the Materials Project, functional PBE.

Cell and atoms, written as POSCAR:
```
EuSi2
1.0
2.0579 -3.5645 0.0000
2.0579 3.5645 0.0000
0.0000 0.0000 4.2272
Eu Si
1 2
direct
0.0000 0.0000 0.0000 Eu
0.3333 0.6667 0.5000 Si
0.6667 0.3333 0.5000 Si
```

Its space group is P6/mmm (191). The crystal system is hexagonal. For the formation energy, the calculation gives -125 kJ/mol of formula units. The energy comes out at -22.544 eV/cell.



Crystalline LaInCu5 at its relaxed geometry. Source: the Materials Project, functional PBE.

Cell and atoms, written as POSCAR:
```
LaInCu5
1.0
-3.1370 -4.0259 0.5963
7.7856 -5.3274 4.9899
-5.2197 6.2641 14.8319
Cu In La
40 8 8
direct
0.5000 0.0518 0.5958 Cu
0.2501 0.8668 0.1587 Cu
0.0000 0.3102 0.4660 Cu
0.7501 0.3668 0.3413 Cu
0.5000 0.7998 0.2835 Cu
0.7495 0.7560 0.9075 Cu
0.5000 0.5710 0.3317 Cu
0.0000 0.5518 0.9042 Cu
0.7501 0.6332 0.6587 Cu
0.5000 0.2002 0.7165 Cu
0.5000 0.3372 0.8479 Cu
0.0000 0.4482 0.0958 Cu
0.2501 0.1332 0.8413 Cu
0.0000 0.6898 0.5340 Cu
0.7505 0.2560 0.5925 Cu
0.0000 0.7002 0.7835 Cu
0.7499 0.8668 0.1587 Cu
0.0000 0.1628 0.3479 Cu
0.2495 0.7440 0.4075 Cu
0.5000 0.4290 0.6683 Cu
0.5000 0.9582 0.9140 Cu
0.0000 0.0710 0.1683 Cu
0.2505 0.7560 0.9075 Cu
0.0000 0.4582 0.5860 Cu
0.0000 0.2998 0.2165 Cu
0.5000 0.8102 0.0340 Cu
0.7505 0.7440 0.4075 Cu
0.0000 0.8372 0.6521 Cu
0.5000 0.6628 0.1521 Cu
0.7495 0.2440 0.0925 Cu
0.0000 0.5418 0.4140 Cu
0.5000 0.0418 0.0860 Cu
0.7499 0.1332 0.8413 Cu
0.2495 0.2560 0.5925 Cu
0.5000 0.9482 0.4042 Cu
0.2499 0.3668 0.3413 Cu
0.2505 0.2440 0.0925 Cu
0.5000 0.1898 0.9660 Cu
0.0000 0.9290 0.8317 Cu
0.2499 0.6332 0.6587 Cu
0.5000 0.1923 0.4477 In
0.5000 0.8077 0.5523 In
0.0000 0.9172 0.3063 In
0.5000 0.4172 0.1937 In
0.0000 0.3077 0.9477 In
0.0000 0.6923 0.0523 In
0.5000 0.5828 0.8063 In
0.0000 0.0828 0.6937 In
0.5000 0.1159 0.2548 La
0.5000 0.5000 0.0000 La
0.5000 0.5000 0.5000 La
0.5000 0.8841 0.7452 La
0.0000 0.0000 0.0000 La
0.0000 0.0000 0.5000 La
0.0000 0.3841 0.7548 La
0.0000 0.6159 0.2452 La
```

Its space group is Pnnm (58). The crystal system is orthorhombic. For the formation energy, the calculation gives -147 kJ/mol of formula units. The energy comes out at -237.632 eV/cell.



Crystalline Ca2GeN2 at its relaxed geometry. Source: the Materials Project, functional PBE.

Cell and atoms, written as POSCAR:
```
Ca2GeN2
1.0
11.2480 0.0000 0.0000
0.0000 11.2480 0.0000
0.0000 0.0000 5.0559
N Ge Ca
16 8 16
direct
0.8641 0.9106 0.0000 N
0.5894 0.6359 0.5000 N
0.0087 0.3366 0.0000 N
0.6359 0.4106 0.0000 N
0.6634 0.0087 0.5000 N
0.1359 0.0894 0.0000 N
0.3366 0.9913 0.5000 N
0.4913 0.8366 0.0000 N
0.5087 0.1634 0.0000 N
0.4106 0.3641 0.5000 N
0.9913 0.6634 0.0000 N
0.1634 0.4913 0.5000 N
0.0894 0.8641 0.5000 N
0.9106 0.1359 0.5000 N
0.3641 0.5894 0.0000 N
0.8366 0.5087 0.5000 N
0.2545 0.8441 0.5000 Ge
0.8441 0.7455 0.0000 Ge
0.3441 0.7545 0.0000 Ge
0.2455 0.3441 0.5000 Ge
0.7545 0.6559 0.5000 Ge
0.6559 0.2455 0.0000 Ge
0.7455 0.1559 0.5000 Ge
0.1559 0.2545 0.0000 Ge
0.0747 0.8672 0.0000 Ca
0.1328 0.0747 0.5000 Ca
0.6499 0.9788 0.0000 Ca
0.9788 0.3501 0.5000 Ca
0.8672 0.9253 0.5000 Ca
0.4253 0.3672 0.0000 Ca
0.3501 0.0212 0.0000 Ca
0.9253 0.1328 0.0000 Ca
0.4788 0.1499 0.5000 Ca
0.3672 0.5747 0.5000 Ca
0.8501 0.4788 0.0000 Ca
0.1499 0.5212 0.0000 Ca
0.5212 0.8501 0.5000 Ca
0.5747 0.6328 0.0000 Ca
0.6328 0.4253 0.5000 Ca
0.0212 0.6499 0.5000 Ca
```

Its space group is P4_2/mbc (135). The crystal system is tetragonal. For the formation energy, the calculation gives -458 kJ/mol of formula units. The energy comes out at -234.680 eV/cell.



Crystalline Cs2Al7Tl at its relaxed geometry. Source: the Materials Project, functional PBE.

Cell and atoms, written as POSCAR:
```
Cs2Al7Tl
1.0
-4.3324 1.8416 -0.8427
-0.5052 -2.9098 -3.7615
-4.8127 -8.1433 6.9457
Tl Cs Al
1 2 7
direct
0.5000 0.5000 0.1180 Tl
0.5000 0.5000 0.5036 Cs
0.0000 0.0000 0.9933 Cs
0.0000 0.0000 0.3850 Al
0.5000 0.0000 0.2626 Al
0.0000 0.5000 0.2626 Al
0.5000 0.5000 0.8644 Al
0.0000 0.5000 0.7446 Al
0.5000 0.0000 0.7446 Al
0.0000 0.0000 0.6213 Al
```

Its space group is P4mm (99). The crystal system is tetragonal. For the formation energy, the calculation gives 180 kJ/mol of formula units. The energy comes out at -28.509 eV/cell.



Crystalline CeSnPt at its relaxed geometry. Source: the Materials Project, functional PBE.

Cell and atoms, written as POSCAR:
```
CeSnPt
1.0
-2.5001 -3.1422 -2.3452
4.1946 -5.4246 2.7964
-5.0494 -0.6681 6.2781
Sn Pt Ce
4 4 4
direct
0.7500 0.8231 0.0848 Sn
0.7500 0.3231 0.4152 Sn
0.2500 0.1769 0.9152 Sn
0.2500 0.6769 0.5848 Sn
0.2500 0.7814 0.9117 Pt
0.7500 0.2186 0.0883 Pt
0.2500 0.2814 0.5883 Pt
0.7500 0.7186 0.4117 Pt
0.7500 0.4879 0.8022 Ce
0.7500 0.9879 0.6978 Ce
0.2500 0.0121 0.3022 Ce
0.2500 0.5121 0.1978 Ce
```

Its space group is Pnma (62). The crystal system is orthorhombic. For the formation energy, the calculation gives -285 kJ/mol of formula units. The energy comes out at -75.880 eV/cell.



Crystalline Zn3Sn2Pt2 at its relaxed geometry. Source: the Materials Project, functional PBE.

Cell and atoms, written as POSCAR:
```
Zn3Sn2Pt2
1.0
2.2084 -3.8250 0.0000
2.2084 3.8250 0.0000
0.0000 0.0000 15.5862
Zn Sn Pt
6 4 4
direct
0.0000 0.0000 0.1692 Zn
0.0000 0.0000 0.6692 Zn
0.3333 0.6667 0.7500 Zn
0.0000 0.0000 0.8308 Zn
0.6667 0.3333 0.2500 Zn
0.0000 0.0000 0.3308 Zn
0.3333 0.6667 0.4286 Sn
0.3333 0.6667 0.0714 Sn
0.6667 0.3333 0.9286 Sn
0.6667 0.3333 0.5714 Sn
0.6667 0.3333 0.7500 Pt
0.3333 0.6667 0.2500 Pt
0.0000 0.0000 0.0000 Pt
0.0000 0.0000 0.5000 Pt
```

Its space group is P6_3/mmc (194). The crystal system is hexagonal. For the formation energy, the calculation gives -305 kJ/mol of formula units. The energy comes out at -54.207 eV/cell.



Crystalline Li13Sn5 at its relaxed geometry. Source: the Materials Project, functional PBE.

Cell and atoms, written as POSCAR:
```
Li13Sn5
1.0
2.3463 -4.0638 0.0000
2.3463 4.0638 0.0000
0.0000 0.0000 17.0897
Sn Li
5 13
direct
0.6667 0.3333 0.3920 Sn
0.6667 0.3333 0.2217 Sn
0.3333 0.6667 0.6080 Sn
0.0000 0.0000 0.0000 Sn
0.3333 0.6667 0.7783 Sn
0.0000 0.0000 0.1635 Li
0.6667 0.3333 0.5538 Li
0.3333 0.6667 0.2837 Li
0.0000 0.0000 0.8365 Li
0.3333 0.6667 0.1120 Li
0.3333 0.6667 0.9467 Li
0.6667 0.3333 0.8880 Li
0.0000 0.0000 0.5000 Li
0.3333 0.6667 0.4462 Li
0.6667 0.3333 0.7163 Li
0.0000 0.0000 0.6716 Li
0.6667 0.3333 0.0533 Li
0.0000 0.0000 0.3284 Li
```

Its space group is P-3m1 (164). The crystal system is trigonal. For the formation energy, the calculation gives -683 kJ/mol of formula units. The energy comes out at -51.938 eV/cell.



Crystalline Tl3F at its relaxed geometry. Source: the Materials Project, functional PBE.

Cell and atoms, written as POSCAR:
```
Tl3F
1.0
3.6933 -2.9528 4.2524
5.3086 2.7339 2.1879
-6.1346 1.4186 -0.8922
Tl F
3 1
direct
0.2500 0.7500 0.5000 Tl
0.5000 0.5000 0.0000 Tl
0.7500 0.2500 0.5000 Tl
0.0000 0.0000 0.0000 F
```

Its space group is I4/mmm (139). The crystal system is tetragonal. For the formation energy, the calculation gives -273 kJ/mol of formula units. The energy comes out at -11.365 eV/cell.



Crystalline LaTi2O6 at its relaxed geometry. Source: the Materials Project, functional PBE.

Cell and atoms, written as POSCAR:
```
LaTi2O6
1.0
4.2196 -1.9357 2.9393
-1.2967 3.4087 4.1099
-3.7742 -3.4582 -1.9968
O La Ti
6 1 2
direct
0.0125 0.0125 0.5312 O
0.4813 0.4813 0.4688 O
0.9875 0.5187 0.0000 O
0.5000 0.0000 0.5000 O
0.0000 0.5000 0.5000 O
0.5187 0.9875 0.0000 O
0.0000 0.0000 0.0000 La
0.7500 0.2500 0.5000 Ti
0.2500 0.7500 0.5000 Ti
```

Its space group is I-42m (121). The crystal system is tetragonal. For the formation energy, the calculation gives -2909 kJ/mol of formula units. The energy comes out at -76.440 eV/cell.



Crystalline TmAlGa at its relaxed geometry. Source: the Materials Project, functional PBE.

Cell and atoms, written as POSCAR:
```
TmAlGa
1.0
2.1625 5.2618 0.0000
-2.1625 5.2618 0.0000
0.0000 4.4096 5.2998
Ga Tm Al
2 2 2
direct
0.8363 0.8363 0.2082 Ga
0.1637 0.1637 0.7918 Ga
0.4525 0.4525 0.8005 Tm
0.5475 0.5475 0.1995 Tm
0.1635 0.1635 0.3847 Al
0.8365 0.8365 0.6153 Al
```

Its space group is C2/m (12). The crystal system is monoclinic. For the formation energy, the calculation gives -157 kJ/mol of formula units. The energy comes out at -25.757 eV/cell.



Crystalline CsI at its relaxed geometry. Source: the Materials Project, functional PBE.

Cell and atoms, written as POSCAR:
```
CsI
1.0
-2.8457 4.7541 -0.2958
-2.1969 -1.6172 -4.8564
-6.0312 -3.3706 3.8508
I Cs
2 2
direct
0.2614 0.0000 0.5000 I
0.7386 0.5000 0.0000 I
0.2344 0.0000 0.0000 Cs
0.7656 0.5000 0.5000 Cs
```

Its space group is Pmmn (59). The crystal system is orthorhombic. For the formation energy, the calculation gives -335 kJ/mol of formula units. The energy comes out at -11.019 eV/cell.



Crystalline Na2O9 at its relaxed geometry. Source: the Materials Project, functional PBE.

Cell and atoms, written as POSCAR:
```
Na2O9
1.0
11.2599 0.0000 0.0000
0.0000 5.2028 0.0000
0.0000 3.9898 12.1368
O Na
36 8
direct
0.1330 0.3317 0.0781 O
0.7679 0.7472 0.8796 O
0.0798 0.0309 0.4017 O
0.3670 0.3317 0.5781 O
0.8670 0.6683 0.9219 O
0.2125 0.6930 0.8038 O
0.4136 0.0147 0.8023 O
0.9202 0.9691 0.5983 O
0.2875 0.6930 0.3038 O
0.5570 0.0015 0.4963 O
0.5798 0.9691 0.0983 O
0.9430 0.0015 0.9963 O
0.5230 0.7018 0.8274 O
0.5492 0.6795 0.9277 O
0.7125 0.3070 0.6962 O
0.7875 0.3070 0.1962 O
0.9136 0.9853 0.6977 O
0.4202 0.0309 0.9017 O
0.2321 0.2528 0.1204 O
0.3892 0.5659 0.3180 O
0.7321 0.7472 0.3796 O
0.0492 0.3205 0.5723 O
0.4508 0.3205 0.0723 O
0.0570 0.9985 0.0037 O
0.2679 0.2528 0.6204 O
0.4430 0.9985 0.5037 O
0.0864 0.0147 0.3023 O
0.4770 0.2982 0.1726 O
0.1108 0.5659 0.8180 O
0.0230 0.2982 0.6726 O
0.6108 0.4341 0.6820 O
0.8892 0.4341 0.1820 O
0.6330 0.6683 0.4219 O
0.9770 0.7018 0.3274 O
0.5864 0.9853 0.1977 O
0.9508 0.6795 0.4277 O
0.1758 0.1207 0.8301 Na
0.8837 0.1812 0.4006 Na
0.1163 0.8188 0.5994 Na
0.6758 0.8793 0.6699 Na
0.3837 0.8188 0.0994 Na
0.3242 0.1207 0.3301 Na
0.6163 0.1812 0.9006 Na
0.8242 0.8793 0.1699 Na
```

Its space group is P2_1/c (14). The crystal system is monoclinic. For the formation energy, the calculation gives -515 kJ/mol of formula units. The energy comes out at -204.265 eV/cell.



Crystalline U2PS at its relaxed geometry. Source: the Materials Project, functional PBE.

Cell and atoms, written as POSCAR:
```
U2PS
1.0
-2.5619 1.0546 6.1575
-1.8204 -2.7743 5.8804
1.0816 -0.2725 6.6593
U S P
2 1 1
direct
0.2495 0.2495 0.2495 U
0.7505 0.7505 0.7505 U
0.5000 0.5000 0.5000 S
0.0000 0.0000 0.0000 P
```

Its space group is R-3m (166). The crystal system is trigonal. For the formation energy, the calculation gives -507 kJ/mol of formula units. The energy comes out at -36.886 eV/cell.